Li3MnPCO7 after structural relaxation, computed with PBE+U.

Geometry as POSCAR:
```
Li3MnPCO7
1.0
6.585 0.000 0.000
0.079 8.572 0.000
0.013 0.799 9.956
O Li C P Mn
28 12 4 4 4
Direct
0.246 0.578 0.798
0.935 0.311 0.415
0.748 0.578 0.905
0.253 0.146 0.755
0.566 0.312 0.415
0.749 0.109 0.175
0.749 0.579 0.407
0.750 0.425 0.203
0.251 0.577 0.296
0.750 0.853 0.243
0.251 0.421 0.094
0.251 0.422 0.595
0.250 0.067 0.974
0.064 0.691 0.587
0.935 0.310 0.914
0.567 0.311 0.915
0.751 0.110 0.683
0.762 0.852 0.746
0.750 0.422 0.703
0.748 0.931 0.527
0.436 0.688 0.086
0.250 0.144 0.254
0.248 0.889 0.819
0.250 0.070 0.475
0.760 0.928 0.022
0.061 0.687 0.088
0.249 0.887 0.323
0.433 0.690 0.586
0.254 0.906 0.615
0.537 0.278 0.127
0.020 0.727 0.366
0.970 0.275 0.619
0.478 0.726 0.366
0.740 0.656 0.121
0.964 0.277 0.127
0.530 0.275 0.619
0.256 0.906 0.123
0.486 0.724 0.890
0.747 0.098 0.886
0.749 0.092 0.376
0.250 0.033 0.352
0.754 0.961 0.146
0.250 0.035 0.851
0.755 0.966 0.649
0.750 0.409 0.860
0.750 0.411 0.358
0.249 0.591 0.639
0.253 0.591 0.139
0.748 0.656 0.604
0.997 0.738 0.883
0.250 0.341 0.385
0.251 0.340 0.893
```

Summary:
**Distance to the lowest polymorph of the same formula**: 16.8 kJ/mol of formula units
**Calculated volume**: 562 Å³/cell
**Formation energy**: -2.408 eV/atom